This record from Materials Project describes a relaxed U4SiN3 crystal. The functional is GGA-PBE.

a b c (Å): 5.125 5.125 9.934
angles (deg): 90.00 90.00 90.00
Space group I4/mmm (No. 139)
One atom of each set of equivalent atoms:
U  0.000  0.000  0.231 x4
U  0.000  0.500  0.000 x4
Si  0.000  0.000  0.500 x2
N  0.000  0.000  0.000 x2
N  0.000  0.500  0.250 x4

Results
* energy of formation: -0.851 eV per atom
* E: -10.1653 eV/atom


This record from Materials Project describes a relaxed VSi7N10 crystal. The functional is GGA-PBE.

a b c (Å): 6.741 6.902 9.720
angles (deg): 90.00 105.43 90.00
Space group Pc (No. 7)
One atom of each set of equivalent atoms:
V  0.000  0.082  0.000 x2
Si  0.116  0.398  0.871 x2
Si  0.301  0.382  0.179 x2
Si  0.353  0.022  0.816 x2
Si  0.488  0.367  0.484 x2
Si  0.542  0.021  0.120 x2
Si  0.663  0.360  0.789 x2
Si  0.847  0.381  0.108 x2
N  0.080  0.432  0.233 x2
N  0.160  0.161  0.840 x2
N  0.291  0.496  0.020 x2
N  0.311  0.129  0.159 x2
N  0.449  0.121  0.467 x2
N  0.503  0.459  0.320 x2
N  0.559  0.133  0.767 x2
N  0.704  0.415  0.623 x2
N  0.747  0.157  0.112 x2
N  0.889  0.370  0.931 x2

Results
* energy of formation: -1.069 eV per atom
* E: -8.1139 eV/atom


Repeat the first record exactly.
This record from Materials Project describes a relaxed U4SiN3 crystal. The functional is GGA-PBE.

a b c (Å): 5.125 5.125 9.934
angles (deg): 90.00 90.00 90.00
Space group I4/mmm (No. 139)
One atom of each set of equivalent atoms:
U  0.000  0.000  0.231 x4
U  0.000  0.500  0.000 x4
Si  0.000  0.000  0.500 x2
N  0.000  0.000  0.000 x2
N  0.000  0.500  0.250 x4

Results
* energy of formation: -0.851 eV per atom
* E: -10.1653 eV/atom


- Among the records above, which one has the highest E?
  VSi7N10